This record from the Materials Project describes an optimized crystal structure of Y3TaO7. The functional is r²SCAN.

Summary:
The value obtained for the calculated formation energy is -3.7326 eV per atom. Its energy above the most stable polymorph in this dataset is 2 meV per atom. As for the calculated total energy: -384.80 eV per cell.

a b c (Å): 6.419 6.419 7.471
angles (deg): 90.00 90.00 109.60
Sites, in units of the cell vectors:
Y (0.534, 0.000, 0.750)
O (0.322, 0.073, 0.532)
O (0.362, 0.638, 0.250)
Y (0.500, 0.500, 0.500)
Ta (0.000, 0.000, 0.500)
O (0.678, 0.927, 0.468)
Y (0.000, 0.466, 0.750)
O (0.066, 0.934, 0.250)
Y (0.500, 0.500, 0.000)
O (0.322, 0.073, 0.968)
O (0.927, 0.678, 0.968)
O (0.073, 0.322, 0.032)
Y (0.466, 0.000, 0.250)
O (0.629, 0.371, 0.250)
O (0.638, 0.362, 0.750)
Ta (0.000, 0.000, 0.000)
O (0.371, 0.629, 0.750)
O (0.927, 0.678, 0.532)
O (0.934, 0.066, 0.750)
O (0.678, 0.927, 0.032)
O (0.073, 0.322, 0.468)
Y (0.000, 0.534, 0.250)